Here is an optimized crystal structure of Ba2Mg3Tl2Sn4O12 from the Materials Project database. Energies are from PBE-GGA.

Results
energy of formation	-1.86	eV per atom
E (MP2020)	-131.52	eV for the cell shown
space-group type	I4/mmm
electronic total energy	-5.36	eV/atom

Cell: 23.4461 23.4461 23.4461 Å, 169.89 169.89 14.31°
Last column: nearest neighbours and their distance in Å.
Atoms (fractional coordinates):
Ba  0.1730  0.1730  0.0000  1 O 2.34
Ba  0.8270  0.8270  0.0000  1 O 2.34
Mg  0.0811  0.0811  0.0000  4 O 2.20
Mg  0.9189  0.9189  0.0000  4 O 2.20
Mg  0.0000  0.0000  0.0000  8 O 2.58
Tl  0.7265  0.7265  0.0000  1 O 2.34
Tl  0.2735  0.2735  0.0000  1 O 2.34
Sn  0.5304  0.5304  0.0000  4 O 2.07
Sn  0.3884  0.3884  0.0000  5 O 2.00-2.17
Sn  0.6116  0.6116  0.0000  5 O 2.00-2.17
Sn  0.4696  0.4696  0.0000  4 O 2.07
O  0.9029  0.4029  0.5000  2 Sn 2.17, 2 Mg 2.20
O  0.0333  0.5333  0.5000  2 Sn 2.07
O  0.2233  0.2233  0.0000  1 Tl 2.34, 1 Ba 2.34
O  0.4667  0.9667  0.5000  2 Sn 2.07
O  0.7767  0.7767  0.0000  1 Tl 2.34, 1 Ba 2.34
O  0.5971  0.0971  0.5000  2 Sn 2.17, 2 Mg 2.20
O  0.0971  0.5971  0.5000  2 Sn 2.17, 2 Mg 2.20
O  0.3455  0.3455  0.0000  1 Sn 2.00
O  0.4029  0.9029  0.5000  2 Sn 2.17, 2 Mg 2.20
O  0.5333  0.0333  0.5000  2 Sn 2.07
O  0.9667  0.4667  0.5000  2 Sn 2.07
O  0.6545  0.6545  0.0000  1 Sn 2.00

***

Here is an optimized crystal structure of BaSrMg14O16 from the Materials Project database. Energies are from PBE-GGA.

Results
energy of formation	-2.80	eV per atom
E (MP2020)	-194.73	eV for the cell shown
space-group type	P4/mmm
electronic total energy	-5.74	eV/atom
energy above the most stable polymorph in this dataset	0	meV/atom

Cell: 8.8597 8.8597 4.5935 Å, 90.00 90.00 90.00°
Last column: nearest neighbours and their distance in Å.
Atoms (fractional coordinates):
Ba  0.5000  0.5000  0.0000  6 O 2.30-2.46
Sr  0.0000  0.0000  0.0000  6 O 2.30-2.36
Mg  0.0000  0.5000  0.0000  4 O 1.97-2.07
Mg  0.5000  0.0000  0.0000  4 O 1.97-2.07
Mg  0.0000  0.2586  0.5000  6 O 2.14-2.30
Mg  0.0000  0.7414  0.5000  6 O 2.14-2.30
Mg  0.5000  0.2366  0.5000  6 O 2.10-2.33
Mg  0.5000  0.7634  0.5000  6 O 2.10-2.33
Mg  0.2586  0.0000  0.5000  6 O 2.14-2.30
Mg  0.2366  0.5000  0.5000  6 O 2.10-2.33
Mg  0.7414  0.0000  0.5000  6 O 2.14-2.30
Mg  0.7634  0.5000  0.5000  6 O 2.10-2.33
Mg  0.2476  0.2476  0.0000  6 O 2.20-2.30
Mg  0.2476  0.7524  0.0000  6 O 2.20-2.30
Mg  0.7524  0.2476  0.0000  6 O 2.20-2.30
Mg  0.7524  0.7524  0.0000  6 O 2.20-2.30
O  0.2668  0.0000  0.0000  5 Mg 2.07-2.30
O  0.2218  0.5000  0.0000  1 Mg 1.97
O  0.7332  0.0000  0.0000  5 Mg 2.07-2.30
O  0.7782  0.5000  0.0000  1 Mg 1.97
O  0.2505  0.2505  0.5000  6 Mg 2.21-2.30
O  0.2505  0.7495  0.5000  6 Mg 2.21-2.30
O  0.7495  0.2505  0.5000  6 Mg 2.21-2.30
O  0.7495  0.7495  0.5000  6 Mg 2.21-2.30
O  0.0000  0.0000  0.5000  4 Mg 2.29, 2 Sr 2.30
O  0.0000  0.5000  0.5000  6 Mg 2.10-2.30
O  0.5000  0.0000  0.5000  6 Mg 2.10-2.30
O  0.5000  0.5000  0.5000  2 Ba 2.30, 4 Mg 2.33
O  0.0000  0.2668  0.0000  5 Mg 2.07-2.30
O  0.0000  0.7332  0.0000  5 Mg 2.07-2.30
O  0.5000  0.2218  0.0000  1 Mg 1.97
O  0.5000  0.7782  0.0000  1 Mg 1.97

***

Here is an optimized crystal structure of BaSrMg14O16 from the Materials Project database. Energies are from PBE-GGA.

Results
energy of formation	-2.76	eV per atom
E (MP2020)	-193.48	eV for the cell shown
space-group type	Pmmm
electronic total energy	-5.70	eV/atom
energy above the most stable polymorph in this dataset	39	meV/atom

Cell: 8.7764 9.1325 4.5761 Å, 90.00 90.00 90.00°
Last column: nearest neighbours and their distance in Å.
Atoms (fractional coordinates):
Ba  0.0000  0.5000  0.0000  6 O 2.29-2.48
Sr  0.0000  0.0000  0.0000  6 O 2.21-2.41
Mg  0.5000  0.0000  0.0000  2 O 1.98
Mg  0.5000  0.5000  0.0000  2 O 1.91
Mg  0.0000  0.2445  0.5000  6 O 2.21-2.33
Mg  0.0000  0.7555  0.5000  6 O 2.21-2.33
Mg  0.5000  0.2494  0.5000  6 O 2.18-2.29
Mg  0.5000  0.7506  0.5000  6 O 2.18-2.29
Mg  0.2614  0.0000  0.5000  6 O 2.09-2.29
Mg  0.2647  0.5000  0.5000  5 O 2.06-2.29
Mg  0.7386  0.0000  0.5000  6 O 2.09-2.29
Mg  0.7353  0.5000  0.5000  5 O 2.06-2.29
Mg  0.2630  0.2469  0.0000  6 O 2.08-2.32
Mg  0.2630  0.7531  0.0000  6 O 2.08-2.32
Mg  0.7370  0.2469  0.0000  6 O 2.08-2.32
Mg  0.7370  0.7531  0.0000  6 O 2.08-2.32
O  0.2740  0.0000  0.0000  1 Mg 1.98
O  0.2822  0.5000  0.0000  1 Mg 1.91
O  0.7260  0.0000  0.0000  1 Mg 1.98
O  0.7178  0.5000  0.0000  1 Mg 1.91
O  0.2517  0.2497  0.5000  6 Mg 2.18-2.29
O  0.2517  0.7503  0.5000  6 Mg 2.18-2.29
O  0.7483  0.2497  0.5000  6 Mg 2.18-2.29
O  0.7483  0.7503  0.5000  6 Mg 2.18-2.29
O  0.0000  0.0000  0.5000  4 Mg 2.23-2.29, 2 Sr 2.29
O  0.0000  0.5000  0.5000  2 Ba 2.29, 4 Mg 2.32-2.33
O  0.5000  0.0000  0.5000  6 Mg 2.09-2.29
O  0.5000  0.5000  0.5000  6 Mg 2.06-2.29
O  0.0000  0.2415  0.0000  1 Sr 2.21, 4 Mg 2.29-2.31, 1 Ba 2.36
O  0.0000  0.7585  0.0000  1 Sr 2.21, 4 Mg 2.29-2.31, 1 Ba 2.36
O  0.5000  0.2467  0.0000  6 Mg 2.08-2.31
O  0.5000  0.7533  0.0000  6 Mg 2.08-2.31

***

Here is an optimized crystal structure of Ba3SrMg2Te2O12 from the Materials Project database. Energies are from PBE-GGA.

Results
energy of formation	-2.68	eV per atom
E (MP2020)	-129.89	eV for the cell shown
space-group type	R3m
electronic total energy	-6.08	eV/atom

Cell: 10.0136 10.0136 10.0136 Å, 33.57 33.57 33.57°
Last column: nearest neighbours and their distance in Å.
Atoms (fractional coordinates):
Ba  0.8750  0.8750  0.8750  12 O 2.89-2.92
Ba  0.1247  0.1247  0.1247  12 O 2.89-2.90
Ba  0.6253  0.6253  0.6253  12 O 2.88-2.90
Sr  0.3750  0.3750  0.3750  12 O 2.87-2.89
Mg  0.0002  0.0002  0.0002  6 O 2.13
Mg  0.4998  0.4998  0.4998  6 O 2.13-2.14
Te  0.7496  0.7496  0.7496  6 O 1.95-1.96
Te  0.2504  0.2504  0.2504  6 O 1.95-1.96
O  0.3908  0.8696  0.8696  1 Te 1.95, 1 Mg 2.13
O  0.8914  0.3696  0.3696  1 Te 1.96, 1 Mg 2.14
O  0.6284  0.1105  0.6284  1 Te 1.96, 1 Mg 2.13
O  0.1323  0.6074  0.1323  1 Te 1.95, 1 Mg 2.13
O  0.8696  0.8696  0.3908  1 Te 1.95, 1 Mg 2.13
O  0.3696  0.3696  0.8914  1 Te 1.96, 1 Mg 2.14
O  0.1105  0.6284  0.6284  1 Te 1.96, 1 Mg 2.13
O  0.6074  0.1323  0.1323  1 Te 1.95, 1 Mg 2.13
O  0.8696  0.3908  0.8696  1 Te 1.95, 1 Mg 2.13
O  0.3696  0.8914  0.3696  1 Te 1.96, 1 Mg 2.14
O  0.6284  0.6284  0.1105  1 Te 1.96, 1 Mg 2.13
O  0.1323  0.1323  0.6074  1 Te 1.95, 1 Mg 2.13

***

Here is an optimized crystal structure of Ba10Mg3ZrTa6O30 from the Materials Project database. Energies are from PBE-GGA.

Results
energy of formation	-3.33	eV per atom
E (MP2020)	-836.94	eV for the cell shown
space-group type	R-3m
electronic total energy	-7.96	eV/atom

Cell: 5.8852 5.8852 59.1543 Å, 60.17 60.17 60.00°
Last column: nearest neighbours and their distance in Å.
Atoms (fractional coordinates):
Ba  0.2544  0.2544  0.0237  12 O 2.78-2.99
Ba  0.2508  0.2508  0.1248  12 O 2.94-2.97
Ba  0.2464  0.2464  0.2261  12 O 2.88-3.00
Ba  0.7536  0.7536  0.0739  12 O 2.88-3.00
Ba  0.2360  0.2360  0.3292  9 O 2.66-2.97
Ba  0.7492  0.7492  0.1752  12 O 2.94-2.97
Ba  0.2314  0.2314  0.4306  9 O 2.70-2.96
Ba  0.7456  0.7456  0.2763  12 O 2.78-2.99
Ba  0.7241  0.7241  0.3828  3 O 2.58
Ba  0.2449  0.2449  0.5265  12 O 2.88-3.07
Ba  0.2498  0.2498  0.6251  12 O 2.94-2.98
Ba  0.7408  0.7408  0.4778  12 O 2.83-3.14
Ba  0.7488  0.7488  0.5754  12 O 2.94-2.99
Ba  0.2512  0.2512  0.7246  12 O 2.94-2.99
Ba  0.2592  0.2592  0.8222  12 O 2.83-3.14
Ba  0.7502  0.7502  0.6749  12 O 2.94-2.98
Ba  0.2759  0.2759  0.9172  3 O 2.58
Ba  0.7551  0.7551  0.7735  12 O 2.88-3.07
Ba  0.7686  0.7686  0.8694  9 O 2.70-2.96
Ba  0.7640  0.7640  0.9708  9 O 2.66-2.97
Mg  0.9803  0.9803  0.4059  3 O 1.99
Mg  0.9948  0.9948  0.5016  6 O 2.11-2.21
Mg  0.9995  0.9995  0.6001  6 O 2.15-2.16
Mg  0.0005  0.0005  0.6999  6 O 2.15-2.16
Mg  0.0052  0.0052  0.7984  6 O 2.11-2.21
Mg  0.0197  0.0197  0.8941  3 O 1.99
Zr  0.0014  0.0014  0.0996  6 O 2.14-2.15
Zr  0.9986  0.9986  0.2004  6 O 2.14-2.15
Ta  0.0044  0.0044  0.9987  6 O 1.95-2.14
Ta  0.5031  0.5031  0.0491  6 O 2.03-2.05
Ta  0.9956  0.9956  0.3013  6 O 1.95-2.14
Ta  0.5000  0.5000  0.1500  6 O 2.04
Ta  0.4969  0.4969  0.2509  6 O 2.03-2.05
Ta  0.4911  0.4911  0.3527  3 O 1.87
Ta  0.4933  0.4933  0.4520  6 O 1.95-2.11
Ta  0.4983  0.4983  0.5505  6 O 2.00-2.04
Ta  0.5000  0.5000  0.6500  6 O 2.02
Ta  0.5017  0.5017  0.7495  6 O 2.00-2.04
Ta  0.5067  0.5067  0.8480  6 O 1.95-2.11
Ta  0.5089  0.5089  0.9473  3 O 1.87
O  0.2595  0.2595  0.0738  1 Ta 2.03, 1 Zr 2.15
O  0.2456  0.7484  0.0258  2 Ta 2.05-2.14
O  0.2595  0.7434  0.0738  1 Ta 2.03, 1 Zr 2.15
O  0.7484  0.2456  0.0258  2 Ta 2.05-2.14
O  0.7434  0.2595  0.0738  1 Ta 2.03, 1 Zr 2.15
O  0.7484  0.7484  0.0258  2 Ta 2.05-2.14
O  0.2556  0.2556  0.1745  1 Ta 2.04, 1 Zr 2.14
O  0.2565  0.7444  0.1255  1 Ta 2.04, 1 Zr 2.14
O  0.2556  0.7435  0.1745  1 Ta 2.04, 1 Zr 2.14
O  0.7444  0.2565  0.1255  1 Ta 2.04, 1 Zr 2.14
O  0.7435  0.2556  0.1745  1 Ta 2.04, 1 Zr 2.14
O  0.7444  0.7444  0.1255  1 Ta 2.04, 1 Zr 2.14
O  0.2516  0.2516  0.2742  2 Ta 2.05-2.14
O  0.2566  0.7405  0.2262  1 Ta 2.03, 1 Zr 2.15
O  0.7405  0.2566  0.2262  1 Ta 2.03, 1 Zr 2.15
O  0.2516  0.7544  0.2742  2 Ta 2.05-2.14
O  0.7544  0.2516  0.2742  2 Ta 2.05-2.14
O  0.7405  0.7405  0.2262  1 Ta 2.03, 1 Zr 2.15
O  0.2690  0.2690  0.3706  1 Ta 1.87
O  0.2591  0.7631  0.3215  1 Ta 1.95
O  0.7631  0.2591  0.3215  1 Ta 1.95
O  0.2690  0.7561  0.3706  1 Ta 1.87
O  0.7561  0.2690  0.3706  1 Ta 1.87
O  0.7631  0.7631  0.3215  1 Ta 1.95
O  0.2598  0.2598  0.4733  1 Ta 1.95
O  0.2674  0.7449  0.4243  1 Mg 1.99, 1 Ta 2.11
O  0.7449  0.2674  0.4243  1 Mg 1.99, 1 Ta 2.11
O  0.2598  0.7475  0.4733  1 Ta 1.95
O  0.7475  0.2598  0.4733  1 Ta 1.95
O  0.7449  0.7449  0.4243  1 Mg 1.99, 1 Ta 2.11
O  0.2587  0.2587  0.5739  1 Ta 2.00, 1 Mg 2.16
O  0.2611  0.7422  0.5254  1 Ta 2.04, 1 Mg 2.11
O  0.2587  0.7437  0.5739  1 Ta 2.00, 1 Mg 2.16
O  0.7422  0.2611  0.5254  1 Ta 2.04, 1 Mg 2.11
O  0.7437  0.2587  0.5739  1 Ta 2.00, 1 Mg 2.16
O  0.7422  0.7422  0.5254  1 Ta 2.04, 1 Mg 2.11
O  0.2583  0.7415  0.6259  1 Ta 2.02, 1 Mg 2.15
O  0.2585  0.2585  0.6741  1 Ta 2.02, 1 Mg 2.15
O  0.7415  0.2583  0.6259  1 Ta 2.02, 1 Mg 2.15
O  0.2585  0.7417  0.6741  1 Ta 2.02, 1 Mg 2.15
O  0.7417  0.2585  0.6741  1 Ta 2.02, 1 Mg 2.15
O  0.7415  0.7415  0.6259  1 Ta 2.02, 1 Mg 2.15
O  0.2578  0.2578  0.7746  1 Ta 2.04, 1 Mg 2.11
O  0.2563  0.7413  0.7261  1 Ta 2.00, 1 Mg 2.16
O  0.7413  0.2563  0.7261  1 Ta 2.00, 1 Mg 2.16
O  0.2578  0.7389  0.7746  1 Ta 2.04, 1 Mg 2.11
O  0.7389  0.2578  0.7746  1 Ta 2.04, 1 Mg 2.11
O  0.7413  0.7413  0.7261  1 Ta 2.00, 1 Mg 2.16
O  0.2525  0.7402  0.8267  1 Ta 1.95
O  0.2551  0.2551  0.8757  1 Mg 1.99, 1 Ta 2.11
O  0.2551  0.7326  0.8757  1 Mg 1.99, 1 Ta 2.11
O  0.7402  0.2525  0.8267  1 Ta 1.95
O  0.7402  0.7402  0.8267  1 Ta 1.95
O  0.7326  0.2551  0.8757  1 Mg 1.99, 1 Ta 2.11
O  0.2439  0.7310  0.9294  1 Ta 1.87
O  0.2369  0.2369  0.9785  1 Ta 1.95
O  0.7310  0.2439  0.9294  1 Ta 1.87
O  0.2369  0.7409  0.9785  1 Ta 1.95
O  0.7409  0.2369  0.9785  1 Ta 1.95
O  0.7310  0.7310  0.9294  1 Ta 1.87

***

The highest energy of formation belongs to which entry? Ba2Mg3Tl2Sn4O12

***

What is the electronic total energy in the third record? -5.70 eV/atom

***

Which value of electronic total energy does entry 2 give? -5.74 eV/atom

***

Repeat the third record exactly.
Here is an optimized crystal structure of BaSrMg14O16 from the Materials Project database. Energies are from PBE-GGA.

Results
energy of formation	-2.76	eV per atom
E (MP2020)	-193.48	eV for the cell shown
space-group type	Pmmm
electronic total energy	-5.70	eV/atom
energy above the most stable polymorph in this dataset	39	meV/atom

Cell: 8.7764 9.1325 4.5761 Å, 90.00 90.00 90.00°
Last column: nearest neighbours and their distance in Å.
Atoms (fractional coordinates):
Ba  0.0000  0.5000  0.0000  6 O 2.29-2.48
Sr  0.0000  0.0000  0.0000  6 O 2.21-2.41
Mg  0.5000  0.0000  0.0000  2 O 1.98
Mg  0.5000  0.5000  0.0000  2 O 1.91
Mg  0.0000  0.2445  0.5000  6 O 2.21-2.33
Mg  0.0000  0.7555  0.5000  6 O 2.21-2.33
Mg  0.5000  0.2494  0.5000  6 O 2.18-2.29
Mg  0.5000  0.7506  0.5000  6 O 2.18-2.29
Mg  0.2614  0.0000  0.5000  6 O 2.09-2.29
Mg  0.2647  0.5000  0.5000  5 O 2.06-2.29
Mg  0.7386  0.0000  0.5000  6 O 2.09-2.29
Mg  0.7353  0.5000  0.5000  5 O 2.06-2.29
Mg  0.2630  0.2469  0.0000  6 O 2.08-2.32
Mg  0.2630  0.7531  0.0000  6 O 2.08-2.32
Mg  0.7370  0.2469  0.0000  6 O 2.08-2.32
Mg  0.7370  0.7531  0.0000  6 O 2.08-2.32
O  0.2740  0.0000  0.0000  1 Mg 1.98
O  0.2822  0.5000  0.0000  1 Mg 1.91
O  0.7260  0.0000  0.0000  1 Mg 1.98
O  0.7178  0.5000  0.0000  1 Mg 1.91
O  0.2517  0.2497  0.5000  6 Mg 2.18-2.29
O  0.2517  0.7503  0.5000  6 Mg 2.18-2.29
O  0.7483  0.2497  0.5000  6 Mg 2.18-2.29
O  0.7483  0.7503  0.5000  6 Mg 2.18-2.29
O  0.0000  0.0000  0.5000  4 Mg 2.23-2.29, 2 Sr 2.29
O  0.0000  0.5000  0.5000  2 Ba 2.29, 4 Mg 2.32-2.33
O  0.5000  0.0000  0.5000  6 Mg 2.09-2.29
O  0.5000  0.5000  0.5000  6 Mg 2.06-2.29
O  0.0000  0.2415  0.0000  1 Sr 2.21, 4 Mg 2.29-2.31, 1 Ba 2.36
O  0.0000  0.7585  0.0000  1 Sr 2.21, 4 Mg 2.29-2.31, 1 Ba 2.36
O  0.5000  0.2467  0.0000  6 Mg 2.08-2.31
O  0.5000  0.7533  0.0000  6 Mg 2.08-2.31